Record 1
## VCrO3 (meta-GGA r2SCAN)

Data for a relaxed VCrO3 crystal.

- DFT formation energy: -2.51 eV per atom

Structure (POSCAR):
```
VCrO3
1.0
5.028 0.000 0.000
0.006 5.409 0.000
0.010 0.777 7.316
V Cr O
4 4 12
Direct
0.000 0.000 0.000
0.001 0.606 0.292
0.003 0.603 0.795
0.506 0.510 0.493
0.004 0.005 0.496
0.502 0.501 0.992
0.503 0.104 0.797
0.503 0.110 0.298
0.157 0.957 0.746
0.161 0.650 0.049
0.199 0.305 0.396
0.308 0.810 0.396
0.353 0.454 0.743
0.356 0.154 0.049
0.657 0.155 0.548
0.657 0.458 0.239
0.695 0.802 0.896
0.808 0.301 0.895
0.850 0.964 0.247
0.852 0.655 0.548
```

Record 2
## Rb2LiSn4 (meta-GGA r2SCAN)

Data for a relaxed Rb2LiSn4 crystal.

- DFT formation energy: -0.35 eV per atom

Structure (POSCAR):
```
Rb2LiSn4
1.0
9.765 0.000 0.000
-3.222 14.534 0.000
-3.533 -2.754 14.338
Rb Li Sn
16 8 32
Direct
0.007 0.133 0.372
0.037 0.397 0.127
0.106 0.909 0.934
0.160 0.466 0.437
0.341 0.041 0.566
0.396 0.594 0.063
0.468 0.350 0.616
0.487 0.884 0.114
0.513 0.116 0.886
0.532 0.650 0.384
0.604 0.406 0.937
0.659 0.959 0.434
0.840 0.534 0.563
0.894 0.091 0.066
0.963 0.603 0.873
0.993 0.867 0.628
0.204 0.248 0.955
0.209 0.754 0.453
0.291 0.544 0.749
0.297 0.048 0.249
0.703 0.952 0.751
0.709 0.456 0.251
0.791 0.246 0.547
0.796 0.752 0.045
0.005 0.097 0.806
0.006 0.867 0.386
0.091 0.347 0.646
0.103 0.742 0.111
0.150 0.399 0.855
0.156 0.639 0.268
0.242 0.234 0.240
0.249 0.689 0.638
0.253 0.238 0.769
0.260 0.852 0.303
0.326 0.736 0.852
0.369 0.140 0.099
0.389 0.885 0.742
0.419 0.351 0.139
0.477 0.200 0.399
0.488 0.392 0.353
0.512 0.608 0.647
0.523 0.800 0.601
0.581 0.649 0.861
0.611 0.115 0.258
0.631 0.860 0.901
0.674 0.264 0.148
0.740 0.148 0.697
0.747 0.762 0.231
0.751 0.311 0.362
0.758 0.766 0.760
0.844 0.361 0.732
0.850 0.601 0.145
0.897 0.258 0.889
0.909 0.653 0.354
0.994 0.133 0.614
0.995 0.903 0.194
```

Record 3
## Na3InAs2 (meta-GGA r2SCAN)

Data for a relaxed Na3InAs2 crystal.

- DFT formation energy: -0.60 eV per atom

Structure (POSCAR):
```
Na3InAs2
1.0
9.665 0.000 0.000
0.000 7.500 0.000
-0.784 0.000 15.666
Na In As
24 8 16
Direct
0.061 0.011 0.394
0.061 0.489 0.894
0.117 0.152 0.046
0.117 0.348 0.546
0.179 0.508 0.362
0.179 0.992 0.862
0.313 0.031 0.648
0.313 0.469 0.148
0.374 0.151 0.297
0.374 0.349 0.797
0.434 0.526 0.606
0.434 0.974 0.106
0.566 0.026 0.894
0.566 0.474 0.394
0.626 0.651 0.203
0.626 0.849 0.703
0.687 0.531 0.852
0.687 0.969 0.352
0.821 0.008 0.138
0.821 0.492 0.638
0.883 0.652 0.454
0.883 0.848 0.954
0.939 0.511 0.106
0.939 0.989 0.606
0.138 0.653 0.709
0.138 0.847 0.209
0.375 0.640 0.958
0.375 0.860 0.458
0.625 0.140 0.542
0.625 0.360 0.042
0.862 0.153 0.791
0.862 0.347 0.291
0.093 0.211 0.225
0.093 0.289 0.725
0.151 0.738 0.540
0.151 0.762 0.040
0.372 0.223 0.477
0.372 0.277 0.977
0.378 0.742 0.792
0.378 0.758 0.292
0.622 0.242 0.708
0.622 0.258 0.208
0.628 0.723 0.023
0.628 0.777 0.523
0.849 0.238 0.960
0.849 0.262 0.460
0.907 0.711 0.275
0.907 0.789 0.775
```

Record 4
## BaNdMn4O12 (meta-GGA r2SCAN)

Data for a relaxed BaNdMn4O12 crystal.

- DFT formation energy: -1.99 eV per atom

Structure (POSCAR):
```
BaNdMn4O12
1.0
5.330 0.000 0.000
0.000 5.330 0.000
0.000 0.000 7.521
Ba Nd Mn O
1 1 4 12
Direct
0.000 0.000 0.000
0.500 0.500 0.500
0.000 0.500 0.249
0.000 0.500 0.751
0.500 0.000 0.249
0.500 0.000 0.751
0.000 0.500 0.000
0.000 0.500 0.500
0.258 0.258 0.264
0.258 0.258 0.736
0.258 0.742 0.264
0.258 0.742 0.736
0.500 0.000 0.000
0.500 0.000 0.500
0.742 0.258 0.264
0.742 0.258 0.736
0.742 0.742 0.264
0.742 0.742 0.736
```

Record 5
## YErNi2 (meta-GGA r2SCAN)

Data for a relaxed YErNi2 crystal.

- DFT formation energy: -0.41 eV per atom

Structure (POSCAR):
```
YErNi2
1.0
4.048 0.000 0.000
0.000 5.431 0.000
0.000 0.000 7.121
Y Er Ni
2 2 4
Direct
0.000 0.118 0.000
0.000 0.882 0.500
0.500 0.382 0.360
0.500 0.618 0.860
0.000 0.376 0.644
0.000 0.624 0.144
0.500 0.135 0.714
0.500 0.865 0.214
```

Record 6
## Dy2CI3 (meta-GGA r2SCAN)

Data for a relaxed Dy2CI3 crystal.

- DFT formation energy: -1.37 eV per atom

Structure (POSCAR):
```
Dy2CI3
1.0
8.451 0.000 0.000
0.000 13.792 0.000
-8.393 0.000 14.512
Dy C I
16 8 24
Direct
0.122 0.103 0.123
0.122 0.397 0.623
0.221 0.091 0.931
0.221 0.409 0.431
0.343 0.631 0.342
0.343 0.869 0.842
0.358 0.598 0.573
0.358 0.902 0.073
0.642 0.098 0.927
0.642 0.402 0.427
0.657 0.131 0.158
0.657 0.369 0.658
0.779 0.591 0.569
0.779 0.909 0.069
0.878 0.603 0.377
0.878 0.897 0.877
0.089 0.518 0.514
0.089 0.982 0.014
0.462 0.532 0.462
0.462 0.968 0.962
0.538 0.032 0.038
0.538 0.468 0.538
0.911 0.018 0.986
0.911 0.482 0.486
0.013 0.013 0.257
0.013 0.487 0.757
0.166 0.727 0.667
0.166 0.773 0.167
0.173 0.738 0.926
0.173 0.762 0.426
0.313 0.240 0.572
0.313 0.260 0.072
0.317 0.240 0.823
0.317 0.260 0.323
0.496 0.516 0.240
0.496 0.984 0.740
0.504 0.016 0.260
0.504 0.484 0.760
0.683 0.740 0.677
0.683 0.760 0.177
0.687 0.740 0.928
0.687 0.760 0.428
0.827 0.238 0.574
0.827 0.262 0.074
0.834 0.227 0.833
0.834 0.273 0.333
0.987 0.513 0.243
0.987 0.987 0.743
```

Record 7
## NaAlBr4 (meta-GGA r2SCAN)

Data for a relaxed NaAlBr4 crystal.

- DFT formation energy: -1.50 eV per atom

Structure (POSCAR):
```
NaAlBr4
1.0
13.810 0.000 0.000
0.000 7.522 0.000
0.000 0.000 7.524
Na Al Br
4 4 16
Direct
0.154 0.250 0.048
0.346 0.750 0.548
0.654 0.250 0.452
0.846 0.750 0.952
0.101 0.750 0.799
0.399 0.250 0.299
0.601 0.750 0.701
0.899 0.250 0.201
0.036 0.250 0.374
0.054 0.750 0.094
0.198 0.506 0.739
0.198 0.994 0.739
0.302 0.006 0.239
0.302 0.494 0.239
0.446 0.250 0.594
0.464 0.750 0.874
0.536 0.250 0.126
0.554 0.750 0.406
0.698 0.506 0.761
0.698 0.994 0.761
0.802 0.006 0.261
0.802 0.494 0.261
0.946 0.250 0.906
0.964 0.750 0.626
```

Record 8
## DyMgSn (meta-GGA r2SCAN)

Data for a relaxed DyMgSn crystal.

- DFT formation energy: -0.66 eV per atom

Structure (POSCAR):
```
DyMgSn
1.0
3.100 -3.099 0.000
3.100 3.099 0.000
-3.068 0.000 7.915
Dy Mg Sn
2 2 2
Direct
0.166 0.166 0.334
0.834 0.834 0.666
0.000 0.500 0.000
0.500 0.000 0.000
0.364 0.364 0.728
0.636 0.636 0.272
```

Record 9
## VPt3 (meta-GGA r2SCAN)

Data for a relaxed VPt3 crystal.

- DFT formation energy: -0.52 eV per atom

Structure (POSCAR):
```
VPt3
1.0
-1.935 1.935 3.947
1.935 -1.935 3.947
1.935 1.935 -3.947
V Pt
1 3
Direct
0.000 0.000 0.000
0.250 0.750 0.500
0.500 0.500 0.000
0.750 0.250 0.500
```

Record 10
## Al6Ge5 (meta-GGA r2SCAN)

Data for a relaxed Al6Ge5 crystal.

- DFT formation energy: 0.04 eV per atom

Structure (POSCAR):
```
Al6Ge5
1.0
5.727 3.306 3.885
-5.727 3.306 3.885
0.000 -6.613 3.885
Al Ge
12 10
Direct
0.015 0.330 0.928
0.072 0.985 0.670
0.170 0.485 0.572
0.330 0.928 0.015
0.428 0.830 0.515
0.485 0.572 0.170
0.515 0.428 0.830
0.572 0.170 0.485
0.670 0.072 0.985
0.830 0.515 0.428
0.928 0.015 0.330
0.985 0.670 0.072
0.100 0.750 0.400
0.144 0.144 0.144
0.250 0.600 0.900
0.356 0.356 0.356
0.400 0.100 0.750
0.600 0.900 0.250
0.644 0.644 0.644
0.750 0.400 0.100
0.856 0.856 0.856
0.900 0.250 0.600
```

Record 11
## Li2GaPd (meta-GGA r2SCAN)

Data for a relaxed Li2GaPd crystal.

- DFT formation energy: -0.56 eV per atom

Structure (POSCAR):
```
Li2GaPd
1.0
0.000 3.015 3.015
3.015 0.000 3.015
3.015 3.015 0.000
Li Ga Pd
2 1 1
Direct
0.000 0.000 0.000
0.250 0.250 0.250
0.750 0.750 0.750
0.500 0.500 0.500
```

Record 12
## ThAlPd (meta-GGA r2SCAN)

Data for a relaxed ThAlPd crystal.

- DFT formation energy: -0.84 eV per atom

Structure (POSCAR):
```
ThAlPd
1.0
7.261 0.000 0.000
-3.630 6.288 0.000
0.000 0.000 4.214
Th Al Pd
3 3 3
Direct
0.000 0.578 0.000
0.422 0.422 0.000
0.578 0.000 0.000
0.000 0.229 0.500
0.229 0.000 0.500
0.771 0.771 0.500
0.000 0.000 0.000
0.333 0.667 0.500
0.667 0.333 0.500
```

Record 13
## SiC (meta-GGA r2SCAN)

Data for a relaxed SiC crystal.

- E above lowest polymorph: 0.00 kJ/mol of atoms
- DFT formation energy: -0.31 eV per atom

Structure (POSCAR):
```
SiC
1.0
3.077 0.000 0.000
-1.538 2.665 0.000
0.000 0.000 52.835
Si C
21 21
Direct
0.000 0.000 0.000
0.000 0.000 0.095
0.000 0.000 0.238
0.000 0.000 0.429
0.000 0.000 0.524
0.000 0.000 0.714
0.000 0.000 0.810
0.333 0.667 0.143
0.333 0.667 0.286
0.333 0.667 0.381
0.333 0.667 0.571
0.333 0.667 0.667
0.333 0.667 0.857
0.333 0.667 0.952
0.667 0.333 0.048
0.667 0.333 0.191
0.667 0.333 0.333
0.667 0.333 0.476
0.667 0.333 0.619
0.667 0.333 0.762
0.667 0.333 0.905
0.000 0.000 0.036
0.000 0.000 0.131
0.000 0.000 0.274
0.000 0.000 0.464
0.000 0.000 0.560
0.000 0.000 0.750
0.000 0.000 0.845
0.333 0.667 0.179
0.333 0.667 0.321
0.333 0.667 0.417
0.333 0.667 0.607
0.333 0.667 0.702
0.333 0.667 0.893
0.333 0.667 0.988
0.667 0.333 0.083
0.667 0.333 0.226
0.667 0.333 0.369
0.667 0.333 0.512
0.667 0.333 0.655
0.667 0.333 0.798
0.667 0.333 0.941
```

Record 14
## NdZn2 (meta-GGA r2SCAN)

Data for a relaxed NdZn2 crystal.

- DFT formation energy: -0.40 eV per atom

Structure (POSCAR):
```
NdZn2
1.0
-2.290 3.724 3.713
2.290 -3.724 3.713
2.290 3.724 -3.713
Nd Zn
2 4
Direct
0.291 0.041 0.250
0.709 0.959 0.750
0.107 0.665 0.442
0.277 0.335 0.942
0.723 0.665 0.058
0.893 0.335 0.558
```